An optimized crystal structure of EuPd3. Source: Materials Project, functional PBE-GGA.

Cell lengths 4.1906, 4.1906, 4.1906 Å; angles 90.00, 90.00, 90.00 degrees
Closest atoms and distances in Å follow each position.
Space group Pm-3m (No. 221)
Asymmetric unit:
Eu (0.0000, 0.0000, 0.0000)  12 Pd 2.96
Pd (0.0000, 0.5000, 0.5000)  8 Pd 2.96, 4 Eu 2.96

Properties
ρ (Mg/m³): 10.63
Crystal system: cubic
Electronic total energy (eV/atom): -6.987